Compound: RbNa5W2N6
Source: Materials Project
Functional: PBE
Structure: optimized geometry

Unit cell a=10.3820 b=9.4282 c=19.3486 alpha=89.88 beta=90.00 gamma=90.00
With the nearest neighbours (Å) after each atom.
Fractional coordinates of all 112 atoms:
Rb1 0.7689 0.6158 0.4179  3 N 2.93-3.17
Rb2 0.2689 0.3842 0.0821  3 N 2.93-3.17
Rb3 0.2336 0.8695 0.0384  5 N 3.00-3.31, 1 Na 3.17
Rb4 0.2311 0.3842 0.5821  3 N 2.93-3.17
Rb5 0.7336 0.1305 0.4616  5 N 3.00-3.31, 1 Na 3.17
Rb6 0.7664 0.1305 0.9616  5 N 3.00-3.31, 1 Na 3.17
Rb7 0.7311 0.6158 0.9179  3 N 2.93-3.17
Rb8 0.2664 0.8695 0.5384  5 N 3.00-3.31, 1 Na 3.17
Na1 0.4955 0.3723 0.2034  3 N 2.43-2.59
Na2 0.9807 0.8738 0.4480  4 N 2.40-2.52
Na3 0.5092 0.1068 0.3179  3 N 2.51-2.71
Na4 0.5102 0.3662 0.6713  4 N 2.42-2.58
Na5 0.5118 0.8688 0.4412  4 N 2.44-2.49
Na6 0.5029 0.6188 0.5630  5 N 2.44-2.69
Na7 0.5045 0.6222 0.0642  3 N 2.39-2.50
Na8 0.3299 0.8783 0.8412  5 N 2.51-2.77
Na9 0.3316 0.3785 0.7839  4 N 2.51-2.71
Na10 0.8316 0.6215 0.7161  4 N 2.51-2.71
Na11 0.0193 0.1262 0.5520  4 N 2.40-2.52
Na12 0.1684 0.3785 0.2839  4 N 2.51-2.71
Na13 0.0102 0.6338 0.8287  4 N 2.42-2.58
Na14 0.0045 0.3723 0.7034  3 N 2.43-2.59
Na15 0.9955 0.6277 0.2966  3 N 2.43-2.59
Na16 0.4898 0.6338 0.3287  4 N 2.42-2.58
Na17 0.0027 0.8748 0.6799  5 N 2.52-2.82
Na18 0.6701 0.1217 0.1588  5 N 2.51-2.77
Na19 0.9908 0.1068 0.8179  3 N 2.51-2.71
Na20 0.5045 0.6277 0.7966  3 N 2.43-2.59
Na21 0.0118 0.1312 0.0588  4 N 2.44-2.49
Na22 0.4908 0.8932 0.6821  3 N 2.51-2.71
Na23 0.5027 0.1252 0.8201  5 N 2.52-2.82
Na24 0.6684 0.6215 0.2161  4 N 2.51-2.71
Na25 0.4882 0.1312 0.5588  4 N 2.44-2.49
Na26 0.9955 0.6222 0.5642  3 N 2.39-2.50
Na27 0.5193 0.8738 0.9480  4 N 2.40-2.52
Na28 0.4971 0.3812 0.4370  5 N 2.44-2.69
Na29 0.8299 0.1217 0.6588  5 N 2.51-2.77
Na30 0.9882 0.8688 0.9412  4 N 2.44-2.49
Na31 0.9973 0.1252 0.3201  5 N 2.52-2.82
Na32 0.0045 0.3778 0.4358  3 N 2.39-2.50
Na33 0.0092 0.8932 0.1821  3 N 2.51-2.71
Na34 0.0029 0.3812 0.9370  5 N 2.44-2.69
Na35 0.4955 0.3778 0.9358  3 N 2.39-2.50
Na36 0.9971 0.6188 0.0630  5 N 2.44-2.69
Na37 0.4807 0.1262 0.0520  4 N 2.40-2.52
Na38 0.1701 0.8783 0.3412  5 N 2.51-2.77
Na39 0.4973 0.8748 0.1799  5 N 2.52-2.82
Na40 0.9898 0.3662 0.1713  4 N 2.42-2.58
W1 0.2388 0.1710 0.9058  4 N 1.84-1.94
W2 0.7659 0.9206 0.2883  4 N 1.83-1.94
W3 0.2453 0.5774 0.4126  4 N 1.83-1.96
W4 0.2612 0.1710 0.4058  4 N 1.84-1.94
W5 0.7388 0.8290 0.5942  4 N 1.84-1.94
W6 0.7612 0.8290 0.0942  4 N 1.84-1.94
W7 0.2374 0.6728 0.7173  4 N 1.84-1.94
W8 0.2547 0.5774 0.9126  4 N 1.83-1.96
W9 0.7374 0.3272 0.7827  4 N 1.84-1.94
W10 0.7341 0.9206 0.7883  4 N 1.83-1.94
W11 0.2341 0.0794 0.7117  4 N 1.83-1.94
W12 0.2659 0.0794 0.2117  4 N 1.83-1.94
W13 0.7626 0.3272 0.2827  4 N 1.84-1.94
W14 0.7453 0.4226 0.0874  4 N 1.83-1.96
W15 0.7547 0.4226 0.5874  4 N 1.83-1.96
W16 0.2626 0.6728 0.2173  4 N 1.84-1.94
N1 0.3695 0.5796 0.6734  1 W 1.84
N2 0.5761 0.3843 0.8140  1 W 1.86
N3 0.7572 0.3692 0.6852  2 W 1.94-1.96
N4 0.1041 0.6405 0.9513  1 W 1.83
N5 0.1044 0.6542 0.4564  1 W 1.84
N6 0.9239 0.3843 0.3140  1 W 1.86
N7 0.2402 0.3731 0.4185  2 W 1.93
N8 0.8728 0.9270 0.5545  1 W 1.84
N9 0.2598 0.3731 0.9185  2 W 1.93
N10 0.9275 0.8696 0.3210  1 W 1.86
N11 0.9187 0.8881 0.0616  1 W 1.84
N12 0.1272 0.0730 0.4455  1 W 1.84
N13 0.8695 0.4204 0.8266  1 W 1.84
N14 0.6305 0.4204 0.3266  1 W 1.84
N15 0.3728 0.0730 0.9455  1 W 1.84
N16 0.6041 0.3595 0.5487  1 W 1.83
N17 0.0813 0.1119 0.9384  1 W 1.84
N18 0.7598 0.6269 0.5815  2 W 1.93
N19 0.7496 0.8677 0.1923  2 W 1.93-1.94
N20 0.8643 0.8328 0.8357  1 W 1.83
N21 0.3959 0.6405 0.4513  1 W 1.83
N22 0.7402 0.6269 0.0815  2 W 1.93
N23 0.5725 0.8696 0.8210  1 W 1.86
N24 0.8956 0.3458 0.5436  1 W 1.84
N25 0.2496 0.1323 0.3077  2 W 1.93-1.94
N26 0.6044 0.3458 0.0436  1 W 1.84
N27 0.5813 0.8881 0.5616  1 W 1.84
N28 0.2428 0.6308 0.3148  2 W 1.94-1.96
N29 0.6272 0.9270 0.0545  1 W 1.84
N30 0.8959 0.3595 0.0487  1 W 1.83
N31 0.2461 0.8757 0.2054  2 W 1.93-1.94
N32 0.1305 0.5796 0.1734  1 W 1.84
N33 0.7428 0.3692 0.1852  2 W 1.94-1.96
N34 0.7539 0.1243 0.7946  2 W 1.93-1.94
N35 0.6357 0.8328 0.3357  1 W 1.83
N36 0.1357 0.1672 0.1643  1 W 1.83
N37 0.7504 0.8677 0.6923  2 W 1.93-1.94
N38 0.2504 0.1323 0.8077  2 W 1.93-1.94
N39 0.7461 0.1243 0.2946  2 W 1.93-1.94
N40 0.4187 0.1119 0.4384  1 W 1.84
N41 0.0761 0.6157 0.6860  1 W 1.86
N42 0.3643 0.1672 0.6643  1 W 1.83
N43 0.3956 0.6542 0.9564  1 W 1.84
N44 0.2572 0.6308 0.8148  2 W 1.94-1.96
N45 0.2539 0.8757 0.7054  2 W 1.93-1.94
N46 0.0725 0.1304 0.6790  1 W 1.86
N47 0.4239 0.6157 0.1860  1 W 1.86
N48 0.4275 0.1304 0.1790  1 W 1.86

- Crystal system: monoclinic
- SG: P2_1/c

Compound: Na15Re7N19
Source: Materials Project
Functional: PBE
Structure: optimized geometry

Unit cell a=6.1479 b=11.9349 c=18.3835 alpha=91.54 beta=93.08 gamma=100.86
With the nearest neighbours (Å) after each atom.
Fractional coordinates of all 82 atoms:
Na1 0.5414 0.6250 0.4477  5 N 2.58-2.85
Na2 0.4586 0.3750 0.5523  5 N 2.58-2.85
Na3 0.5696 0.1437 0.6344  3 N 2.38-2.55
Na4 0.4304 0.8563 0.3656  3 N 2.38-2.55
Na5 0.7198 0.0123 0.1974  4 N 2.55-2.63
Na6 0.2802 0.9877 0.8026  4 N 2.55-2.63
Na7 0.8921 0.0210 0.3840  4 N 2.39-2.67
Na8 0.1079 0.9790 0.6160  4 N 2.39-2.67
Na9 0.8483 0.7736 0.2964  4 N 2.42-2.64
Na10 0.1517 0.2264 0.7036  4 N 2.42-2.64
Na11 0.8593 0.1601 0.8348  3 N 2.37-2.50
Na12 0.1407 0.8399 0.1652  3 N 2.37-2.50
Na13 0.8627 0.9044 0.8977  4 N 2.39-2.53
Na14 0.1373 0.0956 0.1023  4 N 2.39-2.53
Na15 0.7319 0.0897 0.0062  3 N 2.38-2.65
Na16 0.2681 0.9103 0.9938  3 N 2.38-2.65
Na17 0.6329 0.9124 0.5330  3 N 2.40-2.51
Na18 0.3671 0.0876 0.4670  3 N 2.40-2.51
Na19 0.6888 0.4855 0.2871  5 N 2.53-2.80
Na20 0.3112 0.5145 0.7129  5 N 2.53-2.80
Na21 0.9835 0.3500 0.0214  2 N 2.38-2.56
Na22 0.0165 0.6500 0.9786  2 N 2.38-2.56
Na23 0.8788 0.6819 0.7864  4 N 2.49-2.67
Na24 0.1212 0.3181 0.2136  4 N 2.49-2.67
Na25 0.7214 0.2521 0.3821  3 N 2.48-2.71
Na26 0.2786 0.7479 0.6179  3 N 2.48-2.71
Na27 0.5736 0.3608 0.8405  3 N 2.41-2.44
Na28 0.4264 0.6392 0.1595  3 N 2.41-2.44
Na29 0.0000 0.5000 0.5000  2 N 2.34
Na30 0.5000 0.5000 0.0000  6 N 2.73-3.00
Re1 0.5964 0.2563 0.1312  4 N 1.79-1.93
Re2 0.4036 0.7437 0.8688  4 N 1.79-1.93
Re3 0.7994 0.3881 0.6911  4 N 1.78-1.97
Re4 0.2006 0.6119 0.3089  4 N 1.78-1.97
Re5 0.7410 0.6463 0.6169  4 N 1.79-1.89
Re6 0.2590 0.3537 0.3831  4 N 1.79-1.89
Re7 0.0230 0.7812 0.4627  4 N 1.80-1.92
Re8 0.9770 0.2188 0.5373  4 N 1.80-1.92
Re9 0.9010 0.5534 0.1307  4 N 1.78-1.92
Re10 0.0990 0.4466 0.8693  4 N 1.78-1.92
Re11 0.6880 0.9145 0.7195  4 N 1.79-2.00
Re12 0.3120 0.0855 0.2805  4 N 1.79-2.00
Re13 0.6873 0.8083 0.0567  4 N 1.80-1.91
Re14 0.3127 0.1917 0.9433  4 N 1.80-1.91
N1 0.8448 0.1990 0.1256  1 Re 1.79
N2 0.1552 0.8010 0.8744  1 Re 1.79
N3 0.8640 0.3150 0.6049  2 Re 1.88-1.91
N4 0.1360 0.6850 0.3951  2 Re 1.88-1.91
N5 0.5517 0.0421 0.3214  1 Re 1.79
N6 0.4483 0.9579 0.6786  1 Re 1.79
N7 0.5908 0.8101 0.7997  2 Re 1.85-2.00
N8 0.4092 0.1899 0.2003  2 Re 1.85-2.00
N9 0.6850 0.4201 0.1395  2 Re 1.89-1.93
N10 0.3150 0.5799 0.8605  2 Re 1.89-1.93
N11 0.5391 0.4139 0.4141  1 Re 1.79
N12 0.4609 0.5861 0.5859  1 Re 1.79
N13 0.7567 0.1065 0.5013  1 Re 1.80
N14 0.2433 0.8935 0.4987  1 Re 1.80
N15 0.9179 0.6762 0.5362  2 Re 1.89-1.92
N16 0.0821 0.3238 0.4638  2 Re 1.89-1.92
N17 0.9430 0.9117 0.0587  1 Re 1.80
N18 0.0570 0.0883 0.9413  1 Re 1.80
N19 0.7821 0.8285 0.4240  1 Re 1.80
N20 0.2179 0.1715 0.5760  1 Re 1.80
N21 0.7594 0.7839 0.6675  2 Re 1.85-1.94
N22 0.2406 0.2161 0.3325  2 Re 1.85-1.94
N23 0.8693 0.4707 0.9182  1 Re 1.78
N24 0.1307 0.5293 0.0818  1 Re 1.78
N25 0.5658 0.7704 0.9594  2 Re 1.88-1.91
N26 0.4342 0.2296 0.0406  2 Re 1.88-1.91
N27 0.7549 0.6672 0.0884  2 Re 1.91-1.92
N28 0.2451 0.3328 0.9116  2 Re 1.91-1.92
N29 0.9264 0.0282 0.7387  1 Re 1.81
N30 0.0736 0.9718 0.2613  1 Re 1.81
N31 0.0053 0.6123 0.2265  2 Re 1.88-1.91
N32 0.9947 0.3877 0.7735  2 Re 1.88-1.91
N33 0.8898 0.5527 0.6753  2 Re 1.89-1.97
N34 0.1102 0.4473 0.3247  2 Re 1.89-1.97
N35 0.5135 0.3487 0.7091  1 Re 1.78
N36 0.4865 0.6513 0.2909  1 Re 1.78
N37 0.4871 0.8558 0.1119  1 Re 1.80
N38 0.5129 0.1442 0.8881  1 Re 1.80

- Crystal system: triclinic
- SG: P-1

Taking the records one at a time from the top gives ΔH_f (0 K) values of -0.61; -0.41 eV/atom.